(1)
A plane-wave DFT calculation with GGA-PBE was carried out for an optimized crystal structure of Na14Hf3Mg5P12O48.

Computed properties:
* space group: P1
* M_tot: 0.00 μB per formula unit

a b c (Å): 18.031 9.015 22.269
angles (deg): 90.13 89.90 120.07
Sites, in units of the cell vectors:
Na1 0.185 0.360 0.246
Na2 0.685 0.361 0.247
Na3 0.994 0.630 0.248
Na4 0.494 0.629 0.246
Na5 0.320 0.629 0.746
Na6 0.820 0.631 0.747
Na7 0.185 0.013 0.747
Na8 0.685 0.011 0.746
Na9 0.156 0.344 0.578
Na10 0.656 0.344 0.578
Na11 0.015 0.687 0.578
Na12 0.515 0.687 0.578
Na13 0.328 0.968 0.578
Na14 0.828 0.968 0.578
Na15 0.156 0.971 0.078
Na16 0.653 0.963 0.081
Na17 0.328 0.686 0.078
Na18 0.019 0.345 0.081
Na19 0.516 0.345 0.077
Na20 0.481 0.665 0.919
Na21 0.988 0.679 0.914
Na22 0.351 0.036 0.918
Na23 0.167 0.294 0.919
Na24 0.662 0.301 0.914
Na25 0.482 0.298 0.418
Na26 0.982 0.298 0.418
Na27 0.167 0.036 0.419
Na28 0.667 0.036 0.419
Na29 0.351 0.666 0.419
Na30 0.852 0.666 0.418
Na31 0.000 0.000 0.494
Na32 0.500 0.000 0.494
Na33 0.988 0.992 0.993
Na34 0.499 0.999 0.994
Na35 0.340 0.334 0.832
Na36 0.841 0.325 0.827
Na37 0.333 0.320 0.332
Na38 0.833 0.321 0.332
Na39 0.173 0.679 0.162
Na40 0.678 0.678 0.160
Na41 0.161 0.656 0.662
Na42 0.661 0.657 0.662
Hf1 0.000 0.003 0.650
Hf2 0.500 0.003 0.650
Hf3 0.996 0.995 0.148
Hf4 0.499 0.000 0.149
Hf5 0.833 0.331 0.981
Hf6 0.169 0.672 0.315
Hf7 0.669 0.672 0.315
Hf8 0.164 0.663 0.815
Hf9 0.666 0.665 0.816
Mg1 0.999 0.001 0.350
Mg2 0.499 0.001 0.350
Mg3 0.997 0.003 0.851
Mg4 0.499 0.001 0.850
Mg5 0.337 0.334 0.683
Mg6 0.837 0.334 0.683
Mg7 0.333 0.326 0.183
Mg8 0.833 0.328 0.185
Mg9 0.333 0.332 0.984
Mg10 0.334 0.333 0.484
Mg11 0.834 0.333 0.484
Mg12 0.167 0.668 0.016
Mg13 0.670 0.668 0.017
Mg14 0.167 0.667 0.516
Mg15 0.667 0.667 0.516
P1 0.147 0.002 0.251
P2 0.648 0.003 0.252
P3 0.353 0.703 0.252
P4 0.853 0.703 0.253
P5 0.998 0.293 0.252
P6 0.498 0.295 0.253
P7 0.148 0.294 0.752
P8 0.649 0.296 0.752
P9 0.999 0.704 0.752
P10 0.499 0.703 0.752
P11 0.353 0.004 0.753
P12 0.853 0.004 0.752
P13 0.480 0.335 0.582
P14 0.980 0.335 0.582
P15 0.187 0.039 0.584
P16 0.687 0.039 0.584
P17 0.332 0.626 0.584
P18 0.833 0.626 0.584
P19 0.480 0.626 0.084
P20 0.981 0.628 0.085
P21 0.332 0.039 0.082
P22 0.832 0.039 0.085
P23 0.186 0.334 0.084
P24 0.687 0.338 0.086
P25 0.315 0.667 0.918
P26 0.815 0.670 0.918
P27 0.020 0.370 0.920
P28 0.519 0.370 0.920
P29 0.166 0.963 0.919
P30 0.665 0.960 0.918
P31 0.315 0.963 0.420
P32 0.815 0.963 0.420
P33 0.166 0.370 0.418
P34 0.666 0.370 0.418
P35 0.019 0.668 0.418
P36 0.519 0.668 0.418
O1 0.104 0.024 0.307
O2 0.604 0.024 0.307
O3 0.407 0.789 0.307
O4 0.906 0.785 0.309
O5 0.490 0.191 0.309
O6 0.990 0.191 0.309
O7 0.105 0.184 0.807
O8 0.606 0.186 0.808
O9 0.488 0.790 0.808
O10 0.988 0.790 0.808
O11 0.404 0.020 0.809
O12 0.908 0.021 0.805
O13 0.396 0.973 0.696
O14 0.893 0.972 0.693
O15 0.093 0.209 0.695
O16 0.593 0.209 0.695
O17 0.014 0.821 0.696
O18 0.514 0.821 0.696
O19 0.396 0.814 0.195
O20 0.898 0.818 0.197
O21 0.013 0.207 0.196
O22 0.514 0.209 0.196
O23 0.088 0.971 0.195
O24 0.590 0.973 0.195
O25 0.437 0.362 0.636
O26 0.937 0.362 0.636
O27 0.240 0.122 0.640
O28 0.740 0.122 0.640
O29 0.320 0.520 0.641
O30 0.820 0.520 0.641
O31 0.439 0.520 0.140
O32 0.938 0.519 0.141
O33 0.319 0.126 0.136
O34 0.819 0.125 0.139
O35 0.240 0.360 0.140
O36 0.738 0.353 0.142
O37 0.225 0.299 0.027
O38 0.730 0.306 0.029
O39 0.425 0.550 0.027
O40 0.926 0.541 0.027
O41 0.351 0.146 0.024
O42 0.848 0.157 0.029
O43 0.225 0.150 0.527
O44 0.725 0.150 0.527
O45 0.351 0.551 0.527
O46 0.850 0.550 0.527
O47 0.427 0.297 0.524
O48 0.927 0.297 0.524
O49 0.272 0.692 0.974
O50 0.768 0.686 0.972
O51 0.072 0.453 0.976
O52 0.573 0.452 0.976
O53 0.153 0.851 0.973
O54 0.653 0.851 0.974
O55 0.275 0.855 0.476
O56 0.775 0.855 0.476
O57 0.154 0.456 0.474
O58 0.654 0.455 0.474
O59 0.074 0.694 0.473
O60 0.574 0.694 0.473
O61 0.065 0.645 0.361
O62 0.565 0.645 0.361
O63 0.256 0.866 0.365
O64 0.756 0.867 0.365
O65 0.178 0.485 0.361
O66 0.677 0.485 0.361
O67 0.065 0.491 0.865
O68 0.568 0.490 0.865
O69 0.178 0.870 0.861
O70 0.678 0.875 0.861
O71 0.257 0.644 0.861
O72 0.759 0.638 0.859
O73 0.010 0.829 0.412
O74 0.509 0.828 0.412
O75 0.405 0.981 0.412
O76 0.905 0.982 0.412
O77 0.086 0.190 0.412
O78 0.586 0.190 0.412
O79 0.012 0.194 0.911
O80 0.509 0.191 0.912
O81 0.087 0.983 0.911
O82 0.586 0.982 0.912
O83 0.405 0.828 0.912
O84 0.907 0.819 0.911
O85 0.490 0.170 0.590
O86 0.991 0.170 0.590
O87 0.093 0.018 0.590
O88 0.594 0.019 0.590
O89 0.415 0.812 0.591
O90 0.916 0.812 0.590
O91 0.490 0.813 0.090
O92 0.992 0.812 0.088
O93 0.415 0.019 0.090
O94 0.916 0.030 0.089
O95 0.094 0.169 0.091
O96 0.596 0.166 0.088
O97 0.337 0.154 0.745
O98 0.837 0.154 0.745
O99 0.239 0.317 0.745
O100 0.739 0.317 0.746
O101 0.419 0.527 0.744
O102 0.919 0.527 0.744
O103 0.341 0.522 0.245
O104 0.842 0.523 0.245
O105 0.423 0.326 0.245
O106 0.923 0.327 0.245
O107 0.236 0.162 0.244
O108 0.737 0.163 0.245
O109 0.322 0.502 0.920
O110 0.820 0.499 0.922
O111 0.430 0.358 0.921
O112 0.931 0.362 0.922
O113 0.250 0.141 0.920
O114 0.746 0.145 0.922
O115 0.322 0.141 0.421
O116 0.822 0.141 0.421
O117 0.249 0.357 0.420
O118 0.749 0.357 0.420
O119 0.429 0.502 0.420
O120 0.930 0.502 0.420
O121 0.174 0.491 0.079
O122 0.670 0.487 0.079
O123 0.072 0.651 0.079
O124 0.572 0.654 0.079
O125 0.255 0.855 0.077
O126 0.753 0.861 0.077
O127 0.173 0.855 0.579
O128 0.673 0.855 0.579
O129 0.254 0.652 0.579
O130 0.754 0.652 0.579
O131 0.073 0.491 0.577
O132 0.572 0.491 0.577
O133 0.152 0.832 0.255
O134 0.652 0.833 0.255
O135 0.261 0.682 0.255
O136 0.761 0.682 0.255
O137 0.084 0.476 0.254
O138 0.584 0.476 0.255
O139 0.159 0.478 0.755
O140 0.659 0.479 0.755
O141 0.084 0.695 0.755
O142 0.584 0.695 0.755
O143 0.262 0.833 0.755
O144 0.762 0.833 0.755

---

(2)
A plane-wave DFT calculation with GGA-PBE was carried out for an optimized crystal structure of UCoP2.

Computed properties:
* space group: P4/nmm
* M_tot: 2.33 μB per formula unit

a b c (Å): 3.706 3.706 9.171
angles (deg): 90.00 90.00 90.00
Sites, in units of the cell vectors:
U1 0.000 0.500 0.764
U2 0.500 0.000 0.236
Co1 0.500 0.500 0.500
Co2 0.000 0.000 0.500
P1 0.500 0.500 0.000
P2 0.000 0.000 0.000
P3 0.000 0.500 0.361
P4 0.500 0.000 0.639

---

(3)
A plane-wave DFT calculation with GGA-PBE was carried out for an optimized crystal structure of Rb2AgC3S3N3.

Computed properties:
* space group: P2_1/c
* M_tot: 0.00 μB per formula unit

a b c (Å): 16.356 7.976 9.513
angles (deg): 72.21 90.00 90.00
Sites, in units of the cell vectors:
Rb1 0.992 0.678 0.641
Rb2 0.844 0.040 0.810
Rb3 0.344 0.460 0.190
Rb4 0.656 0.540 0.810
Rb5 0.008 0.322 0.359
Rb6 0.156 0.960 0.190
Rb7 0.508 0.178 0.641
Rb8 0.492 0.822 0.359
Ag1 0.759 0.771 0.245
Ag2 0.741 0.271 0.245
Ag3 0.241 0.229 0.755
Ag4 0.259 0.729 0.755
C1 0.848 0.506 0.946
C2 0.452 0.619 0.746
C3 0.813 0.427 0.516
C4 0.048 0.119 0.746
C5 0.313 0.073 0.484
C6 0.348 0.994 0.054
C7 0.187 0.573 0.484
C8 0.952 0.881 0.254
C9 0.652 0.006 0.946
C10 0.548 0.381 0.254
C11 0.152 0.494 0.054
C12 0.687 0.927 0.516
S1 0.222 0.042 0.564
S2 0.092 0.236 0.840
S3 0.861 0.310 0.066
S4 0.778 0.958 0.436
S5 0.639 0.810 0.066
S6 0.722 0.458 0.436
S7 0.592 0.264 0.160
S8 0.908 0.764 0.160
S9 0.408 0.736 0.840
S10 0.361 0.190 0.934
S11 0.278 0.542 0.564
S12 0.139 0.690 0.934
N1 0.339 0.854 0.144
N2 0.514 0.464 0.321
N3 0.661 0.146 0.856
N4 0.839 0.646 0.856
N5 0.878 0.404 0.575
N6 0.986 0.964 0.321
N7 0.014 0.036 0.679
N8 0.622 0.904 0.575
N9 0.161 0.354 0.144
N10 0.378 0.096 0.425
N11 0.486 0.536 0.679
N12 0.122 0.596 0.425

---

(4)
A plane-wave DFT calculation with GGA-PBE was carried out for an optimized crystal structure of Kr.

Computed properties:
* space group: Im-3m

a b c (Å): 4.342 4.342 4.342
angles (deg): 109.47 109.47 109.47
Sites, in units of the cell vectors:
Kr1 0.000 0.000 0.000

---

Values for DFT formation energy, eV per atom, ordered as above
-2.911 -0.792 -0.448 0.002